Compound: Cs3Zr7BCl20
Source: the Materials Project
Functional: GGA-PBE
Structure: relaxed

a = 14.033 Å, b = 14.033 Å, c = 14.033 Å
α = 55.83°, β = 55.83°, γ = 55.83°
Positions (direct):
Cs  0.000  0.500  0.500
Cs  0.500  0.000  0.500
Cs  0.000  0.500  0.000
Cs  0.500  0.500  0.000
Cs  0.000  0.000  0.500
Cs  0.500  0.000  0.000
Zr  0.450  0.324  0.612
Zr  0.676  0.388  0.550
Zr  0.388  0.550  0.676
Zr  0.824  0.950  0.112
Zr  0.250  0.250  0.250
Zr  0.324  0.612  0.450
Zr  0.888  0.176  0.050
Zr  0.176  0.050  0.888
Zr  0.050  0.888  0.176
Zr  0.550  0.676  0.388
Zr  0.112  0.824  0.950
Zr  0.612  0.450  0.324
Zr  0.950  0.112  0.824
Zr  0.750  0.750  0.750
B  0.000  0.000  0.000
B  0.500  0.500  0.500
Cl  0.318  0.859  0.825
Cl  0.175  0.682  0.141
Cl  0.571  0.432  0.748
Cl  0.820  0.820  0.820
Cl  0.252  0.429  0.568
Cl  0.748  0.571  0.432
Cl  0.429  0.568  0.252
Cl  0.818  0.325  0.359
Cl  0.071  0.248  0.932
Cl  0.612  0.888  0.250
Cl  0.432  0.748  0.571
Cl  0.432  0.250  0.068
Cl  0.068  0.432  0.250
Cl  0.180  0.180  0.180
Cl  0.682  0.141  0.175
Cl  0.250  0.612  0.888
Cl  0.750  0.932  0.568
Cl  0.141  0.175  0.682
Cl  0.675  0.641  0.182
Cl  0.182  0.675  0.641
Cl  0.752  0.068  0.929
Cl  0.568  0.750  0.932
Cl  0.250  0.068  0.432
Cl  0.641  0.182  0.675
Cl  0.932  0.568  0.750
Cl  0.929  0.752  0.068
Cl  0.248  0.932  0.071
Cl  0.359  0.818  0.325
Cl  0.320  0.320  0.320
Cl  0.888  0.250  0.612
Cl  0.680  0.680  0.680
Cl  0.568  0.252  0.429
Cl  0.388  0.112  0.750
Cl  0.932  0.071  0.248
Cl  0.068  0.929  0.752
Cl  0.750  0.388  0.112
Cl  0.112  0.750  0.388
Cl  0.825  0.318  0.859
Cl  0.325  0.359  0.818
Cl  0.859  0.825  0.318

ρ	3.306	g cm⁻³
total energy after the MP2020 corrections	-351.413	eV/cell
SG	R-3c, No. 167